Compound: LaF3
Source: Materials Project
Functional: PBE-GGA
Structure: optimized geometry

a = 7.2444 Å, b = 7.2444 Å, c = 7.3910 Å
α = 90.00°, β = 90.00°, γ = 120.00°
Closest atoms and distances in Å follow each position.
Fractional positions:
La 0.0000 0.3263 0.0000  8 F 2.42-2.54
La 0.0000 0.6737 0.5000  8 F 2.42-2.54
La 0.3263 0.0000 0.0000  8 F 2.42-2.54
La 0.3263 0.3263 0.5000  8 F 2.42-2.54
La 0.6737 0.0000 0.5000  8 F 2.42-2.54
La 0.6737 0.6737 0.0000  8 F 2.42-2.54
F 0.0000 0.0000 0.0698  3 La 2.42, 3 F 2.67
F 0.0000 0.0000 0.5698  3 La 2.42, 3 F 2.67
F 0.0000 0.2774 0.3310  3 La 2.47-2.54, 5 F 2.62-2.75
F 0.0000 0.3795 0.6714  2 La 2.46-2.48, 4 F 2.62-2.75
F 0.0000 0.6205 0.1714  2 La 2.46-2.48, 4 F 2.62-2.75
F 0.0000 0.7226 0.8310  3 La 2.47-2.54, 5 F 2.62-2.75
F 0.2774 0.0000 0.3310  3 La 2.47-2.54, 5 F 2.62-2.75
F 0.2774 0.2774 0.8310  3 La 2.47-2.54, 5 F 2.62-2.75
F 0.3333 0.6667 0.4580  3 La 2.46
F 0.3333 0.6667 0.9580  3 La 2.46
F 0.3795 0.0000 0.6714  2 La 2.46-2.48, 4 F 2.62-2.75
F 0.3795 0.3795 0.1714  2 La 2.46-2.48, 4 F 2.62-2.75
F 0.6205 0.0000 0.1714  2 La 2.46-2.48, 4 F 2.62-2.75
F 0.6205 0.6205 0.6714  2 La 2.46-2.48, 4 F 2.62-2.75
F 0.6667 0.3333 0.4580  3 La 2.46
F 0.6667 0.3333 0.9580  3 La 2.46
F 0.7226 0.0000 0.8310  3 La 2.47-2.54, 5 F 2.62-2.75
F 0.7226 0.7226 0.3310  3 La 2.47-2.54, 5 F 2.62-2.75

Results
- Energy: -27.25 eV per formula unit
- Piezoelectric modulus e_max: 0.57 C/m2
- Space group: No. 185
- MP2020-corrected energy: -7.159 eV per atom


Compound: LuThTc2
Source: Materials Project
Functional: PBE-GGA
Structure: optimized geometry

a = 4.8708 Å, b = 4.8708 Å, c = 4.8708 Å
α = 60.00°, β = 60.00°, γ = 60.00°
Closest atoms and distances in Å follow each position.
Fractional positions:
Lu 0.0000 0.0000 0.0000  8 Tc 2.98
Th 0.5000 0.5000 0.5000  8 Tc 2.98
Tc 0.2500 0.2500 0.2500  4 Th 2.98, 4 Lu 2.98
Tc 0.7500 0.7500 0.7500  4 Th 2.98, 4 Lu 2.98

Results
- Energy: -33.12 eV per formula unit
- Space group: No. 225


Compound: Mn3Bi3N5
Source: Materials Project
Functional: PBE-GGA
Structure: optimized geometry

a = 5.6222 Å, b = 7.5611 Å, c = 8.5755 Å
α = 105.36°, β = 96.70°, γ = 95.82°
Closest atoms and distances in Å follow each position.
Fractional positions:
Mn 0.0612 0.1832 0.0258  4 N 1.74-1.88
Mn 0.0707 0.4266 0.7217  4 N 1.79-1.96
Mn 0.3237 0.5099 0.4027  4 N 1.78-1.92
Mn 0.6763 0.4901 0.5973  4 N 1.78-1.92
Mn 0.9293 0.5734 0.2783  4 N 1.79-1.96
Mn 0.9388 0.8168 0.9742  4 N 1.74-1.88
Bi 0.2469 0.0273 0.4394  1 N 2.32
Bi 0.4571 0.8197 0.8043  2 N 2.35-2.43
Bi 0.4993 0.6858 0.1329  1 N 2.39
Bi 0.5007 0.3142 0.8671  1 N 2.39
Bi 0.5429 0.1803 0.1957  2 N 2.35-2.43
Bi 0.7531 0.9727 0.5606  1 N 2.32
N 0.0750 0.2971 0.8745  2 Mn 1.74-1.83
N 0.0833 0.3646 0.2247  3 Mn 1.85-1.92
N 0.1812 0.7128 0.4184  2 Mn 1.78-1.79
N 0.2236 0.9732 0.9945  2 Mn 1.85-1.88
N 0.3381 0.4537 0.5982  3 Mn 1.83-1.96
N 0.6619 0.5463 0.4018  3 Mn 1.83-1.96
N 0.7764 0.0268 0.0055  2 Mn 1.85-1.88
N 0.8188 0.2872 0.5816  2 Mn 1.78-1.79
N 0.9167 0.6354 0.7753  3 Mn 1.85-1.92
N 0.9250 0.7029 0.1255  2 Mn 1.74-1.83

Results
- Energy: -78.22 eV per formula unit
- Space group: No. 2
- MP2020-corrected energy: -7.275 eV per atom


Compound: CsTiCuOF5
Source: Materials Project
Functional: PBE-GGA
Structure: optimized geometry

a = 7.4569 Å, b = 7.4569 Å, c = 7.4569 Å
α = 121.52°, β = 121.44°, γ = 87.45°
Closest atoms and distances in Å follow each position.
Fractional positions:
Cs 0.3730 0.1230 0.2500  5 F 3.10-3.37
Cs 0.6270 0.8770 0.7500  5 F 3.10-3.37
Ti 0.0000 0.0000 0.5000  2 O 1.88, 4 F 1.95
Ti 0.0000 0.5000 0.0000  2 O 1.88, 4 F 1.95
Cu 0.0000 0.5000 0.5000  6 F 1.95-2.08
Cu 0.5000 0.5000 0.0000  6 F 1.95-2.08
O 0.0418 0.7918 0.2500  2 Ti 1.88
O 0.9582 0.2082 0.7500  2 Ti 1.88
F 0.0672 0.4184 0.2330  1 Ti 1.95, 1 Cu 2.08
F 0.0672 0.8341 0.6488  1 Ti 1.95, 1 Cu 2.08
F 0.3142 0.5642 0.7500  2 Cu 1.95
F 0.3147 0.1659 0.7330  1 Ti 1.95, 1 Cu 2.08
F 0.3147 0.5816 0.1488  1 Ti 1.95, 1 Cu 2.08
F 0.6853 0.4184 0.8512  1 Ti 1.95, 1 Cu 2.08
F 0.6853 0.8341 0.2670  1 Ti 1.95, 1 Cu 2.08
F 0.6858 0.4358 0.2500  2 Cu 1.95
F 0.9328 0.1659 0.3512  1 Ti 1.95, 1 Cu 2.08
F 0.9328 0.5816 0.7670  1 Ti 1.95, 1 Cu 2.08

Results
- Energy: -50.77 eV per formula unit
- Space group: No. 74
- MP2020-corrected energy: -5.974 eV per atom


Compound: Si3Os2
Source: Materials Project
Functional: PBE-GGA
Structure: optimized geometry

a = 11.2411 Å, b = 9.0239 Å, c = 5.6246 Å
α = 90.00°, β = 90.00°, γ = 90.00°
Closest atoms and distances in Å follow each position.
Fractional positions:
Si 0.0738 0.2055 0.0563  5 Os 2.40-2.59, 1 Si 2.66
Si 0.0738 0.7945 0.5563  5 Os 2.40-2.59, 1 Si 2.66
Si 0.1303 0.3929 0.6042  4 Os 2.36-2.49
Si 0.1303 0.6071 0.1042  4 Os 2.36-2.49
Si 0.1815 0.0634 0.4094  4 Os 2.39-2.54, 1 Si 2.66
Si 0.1815 0.9366 0.9094  4 Os 2.39-2.54, 1 Si 2.66
Si 0.3185 0.4366 0.9094  4 Os 2.39-2.54, 1 Si 2.66
Si 0.3185 0.5634 0.4094  4 Os 2.39-2.54, 1 Si 2.66
Si 0.3697 0.1071 0.1042  4 Os 2.36-2.49
Si 0.3697 0.8929 0.6042  4 Os 2.36-2.49
Si 0.4262 0.2945 0.5563  5 Os 2.40-2.59, 1 Si 2.66
Si 0.4262 0.7055 0.0563  5 Os 2.40-2.59, 1 Si 2.66
Si 0.5738 0.2945 0.9437  5 Os 2.40-2.59, 1 Si 2.66
Si 0.5738 0.7055 0.4437  5 Os 2.40-2.59, 1 Si 2.66
Si 0.6303 0.1071 0.3958  4 Os 2.36-2.49
Si 0.6303 0.8929 0.8958  4 Os 2.36-2.49
Si 0.6815 0.4366 0.5906  4 Os 2.39-2.54, 1 Si 2.66
Si 0.6815 0.5634 0.0906  4 Os 2.39-2.54, 1 Si 2.66
Si 0.8185 0.0634 0.0906  4 Os 2.39-2.54, 1 Si 2.66
Si 0.8185 0.9366 0.5906  4 Os 2.39-2.54, 1 Si 2.66
Si 0.8697 0.3929 0.8958  4 Os 2.36-2.49
Si 0.8697 0.6071 0.3958  4 Os 2.36-2.49
Si 0.9262 0.2055 0.4437  5 Os 2.40-2.59, 1 Si 2.66
Si 0.9262 0.7945 0.9437  5 Os 2.40-2.59, 1 Si 2.66
Os 0.0000 0.0378 0.7500  6 Si 2.41-2.59
Os 0.0000 0.4240 0.2500  6 Si 2.36-2.49
Os 0.0000 0.5760 0.7500  6 Si 2.36-2.49
Os 0.0000 0.9622 0.2500  6 Si 2.41-2.59
Os 0.2451 0.1868 0.7625  7 Si 2.39-2.54
Os 0.2451 0.8132 0.2625  7 Si 2.39-2.54
Os 0.2549 0.3132 0.2625  7 Si 2.39-2.54
Os 0.2549 0.6868 0.7625  7 Si 2.39-2.54
Os 0.5000 0.0760 0.7500  6 Si 2.36-2.49
Os 0.5000 0.4622 0.2500  6 Si 2.41-2.59
Os 0.5000 0.5378 0.7500  6 Si 2.41-2.59
Os 0.5000 0.9240 0.2500  6 Si 2.36-2.49
Os 0.7451 0.3132 0.2375  7 Si 2.39-2.54
Os 0.7451 0.6868 0.7375  7 Si 2.39-2.54
Os 0.7549 0.1868 0.7375  7 Si 2.39-2.54
Os 0.7549 0.8132 0.2375  7 Si 2.39-2.54

Results
- Energy: -40.99 eV per formula unit
- Space group: No. 60


Compound: Y2PS
Source: Materials Project
Functional: PBE-GGA
Structure: optimized geometry

a = 6.8821 Å, b = 6.8821 Å, c = 6.8821 Å
α = 33.54°, β = 33.54°, γ = 33.54°
Closest atoms and distances in Å follow each position.
Fractional positions:
Y 0.2470 0.2470 0.2470  3 P 2.78, 3 S 2.84
Y 0.7530 0.7530 0.7530  3 P 2.78, 3 S 2.84
P 0.5000 0.5000 0.5000  6 Y 2.78
S 0.0000 0.0000 0.0000  6 Y 2.84

Results
- Energy: -30.01 eV per formula unit
- Space group: No. 166
- MP2020-corrected energy: -7.628 eV per atom


Compound: ZrAlIr
Source: Materials Project
Functional: PBE-GGA
Structure: optimized geometry

a = 8.2901 Å, b = 5.3486 Å, c = 5.3486 Å
α = 60.55°, β = 90.00°, γ = 90.00°
Closest atoms and distances in Å follow each position.
Fractional positions:
Zr 0.1775 0.0000 0.0000  4 Zr 2.94-3.24, 7 Ir 3.03-3.07, 5 Al 3.05-3.20
Zr 0.2918 0.6644 0.6644  5 Ir 2.86-3.20, 7 Al 3.10-3.19
Zr 0.7082 0.6644 0.6644  5 Ir 2.86-3.20, 7 Al 3.10-3.19
Zr 0.8225 0.0000 0.0000  4 Zr 2.94-3.24, 7 Ir 3.03-3.07, 5 Al 3.05-3.20
Al 0.2453 0.3242 0.3242  4 Ir 2.56-2.60, 2 Al 2.67
Al 0.5000 0.1586 0.6746  2 Ir 2.60-2.75, 4 Al 2.61-2.78
Al 0.5000 0.6746 0.1586  2 Ir 2.60-2.75, 4 Al 2.61-2.78
Al 0.7547 0.3242 0.3242  4 Ir 2.56-2.60, 2 Al 2.67
Ir 0.0000 0.4960 0.4960  2 Al 2.58, 4 Ir 2.66-2.69, 2 Zr 2.88
Ir 0.0000 0.4993 0.9918  2 Al 2.56, 4 Ir 2.66-2.74, 2 Zr 2.86
Ir 0.0000 0.9918 0.4993  2 Al 2.56, 4 Ir 2.66-2.74, 2 Zr 2.86
Ir 0.5000 0.1603 0.1603  6 Al 2.60-2.75

Results
- Energy: -23.60 eV per formula unit
- Space group: No. 38


Compound: Cd2SnO4
Source: Materials Project
Functional: PBE-GGA
Structure: optimized geometry

a = 6.5986 Å, b = 6.5986 Å, c = 6.5986 Å
α = 60.00°, β = 60.00°, γ = 60.00°
Closest atoms and distances in Å follow each position.
Fractional positions:
Cd 0.0000 0.0000 0.0000  6 O 2.34
Cd 0.0000 0.0000 0.5000  6 O 2.34
Cd 0.0000 0.5000 0.0000  6 O 2.34
Cd 0.5000 0.0000 0.0000  6 O 2.34
Sn 0.3750 0.3750 0.3750  4 O 2.01
Sn 0.6250 0.6250 0.6250  4 O 2.01
O 0.2508 0.2508 0.2508  1 Sn 2.01
O 0.2508 0.2508 0.7475  1 Sn 2.01
O 0.2508 0.7475 0.2508  1 Sn 2.01
O 0.2525 0.7492 0.7492  1 Sn 2.01
O 0.7475 0.2508 0.2508  1 Sn 2.01
O 0.7492 0.2525 0.7492  1 Sn 2.01
O 0.7492 0.7492 0.2525  1 Sn 2.01
O 0.7492 0.7492 0.7492  1 Sn 2.01

Results
- Energy: -34.24 eV per formula unit
- Space group: No. 227
- MP2020-corrected energy: -5.284 eV per atom